Compound: KLaSmSbO6
Source: the Materials Project
Functional: PBE
Structure: relaxed

POSCAR file:
```
KLaSmSbO6
1.0
0.000 -4.242 -4.242
4.242 0.000 -4.242
4.242 -4.242 0.000
La O Sb Sm K
1 6 1 1 1
direct
0.750 0.750 0.750
0.766 0.766 0.234
0.234 0.766 0.766
0.766 0.234 0.766
0.766 0.234 0.234
0.234 0.234 0.766
0.234 0.766 0.234
0.000 0.000 0.000
0.500 0.500 0.500
0.250 0.250 0.250
```

Summary:
Energy of formation from the pure elements: -2.818 eV/atom
Uncorrected energy: -68.6 eV per cell
Magnetization: 0.00 μB/f.u.

Compound: KLaYSbO6
Source: the Materials Project
Functional: PBE
Structure: relaxed

POSCAR file:
```
KLaYSbO6
1.0
4.781 2.679 2.232
3.748 2.840 -3.592
0.300 5.909 0.110
Sb O La K Y
1 6 1 1 1
direct
0.000 0.000 0.000
0.237 0.237 0.763
0.763 0.763 0.237
0.763 0.237 0.763
0.237 0.763 0.237
0.763 0.237 0.237
0.237 0.763 0.763
0.750 0.750 0.750
0.250 0.250 0.250
0.500 0.500 0.500
```

Summary:
Energy of formation from the pure elements: -2.880 eV/atom
Uncorrected energy: -71.0 eV per cell
Magnetization: 0.00 μB/f.u.

Compound: KLaSe2O8
Source: the Materials Project
Functional: PBE
Structure: relaxed

POSCAR file:
```
KLaSe2O8
1.0
-1.070 -4.203 -6.195
-4.710 -5.890 4.809
-9.618 5.509 -2.077
O K La Se
32 4 4 8
direct
0.819 0.261 0.307
0.501 0.907 0.823
0.436 0.885 0.561
0.980 0.414 0.869
0.520 0.414 0.369
0.685 0.863 0.033
0.185 0.137 0.467
0.753 0.306 0.545
0.368 0.375 0.106
0.681 0.261 0.807
0.315 0.137 0.967
0.480 0.586 0.631
0.936 0.115 0.939
0.247 0.694 0.455
0.662 0.855 0.306
0.815 0.863 0.533
0.001 0.093 0.677
0.564 0.115 0.439
0.632 0.625 0.894
0.319 0.739 0.193
0.999 0.907 0.323
0.253 0.694 0.955
0.747 0.306 0.045
0.064 0.885 0.061
0.338 0.145 0.694
0.020 0.586 0.131
0.132 0.375 0.606
0.162 0.145 0.194
0.838 0.855 0.806
0.181 0.739 0.693
0.868 0.625 0.394
0.499 0.093 0.177
0.848 0.567 0.663
0.152 0.433 0.337
0.652 0.567 0.163
0.348 0.433 0.837
0.662 0.059 0.653
0.838 0.059 0.153
0.162 0.941 0.847
0.338 0.941 0.347
0.837 0.284 0.911
0.337 0.194 0.106
0.337 0.716 0.589
0.163 0.716 0.089
0.837 0.806 0.394
0.163 0.194 0.606
0.663 0.284 0.411
0.663 0.806 0.894
```

Summary:
Energy of formation from the pure elements: -2.038 eV/atom
Uncorrected energy: -286.3 eV per cell
Magnetization: 0.00 μB/f.u.

Compound: KLaSn2O6
Source: the Materials Project
Functional: PBE
Structure: relaxed

POSCAR file:
```
KLaSn2O6
1.0
1.039 5.568 -1.233
-4.203 3.306 -2.237
-2.417 4.179 3.208
O K Sn La
6 1 2 1
direct
0.000 0.500 0.000
0.500 0.000 0.500
0.500 0.000 0.000
0.500 0.500 0.000
0.000 0.000 0.500
0.000 0.500 0.500
0.500 0.500 0.500
0.250 0.250 0.250
0.750 0.750 0.750
0.000 0.000 0.000
```

Summary:
Energy of formation from the pure elements: -2.426 eV/atom
Uncorrected energy: -63.9 eV per cell
Magnetization: 0.00 μB/f.u.

Compound: KLaTi4O12
Source: the Materials Project
Functional: PBE
Structure: relaxed

POSCAR file:
```
KLaTi4O12
1.0
1.676 4.864 -1.949
-4.903 2.173 1.226
2.654 1.952 7.154
O Ti La K
12 4 1 1
direct
0.988 0.494 0.000
0.256 0.744 0.772
0.506 0.012 0.000
0.740 0.739 0.765
0.747 0.253 0.759
0.005 0.505 0.500
0.261 0.260 0.235
0.740 0.739 0.235
0.256 0.744 0.228
0.495 0.995 0.500
0.747 0.253 0.241
0.261 0.260 0.765
0.500 0.001 0.740
0.500 0.001 0.260
0.999 0.500 0.260
0.999 0.500 0.740
0.499 0.501 0.000
0.001 0.999 0.500
```

Summary:
Energy of formation from the pure elements: -2.935 eV/atom
Uncorrected energy: -141.6 eV per cell
Magnetization: 4.00 μB/f.u.

Compound: K2LaP2S7
Source: the Materials Project
Functional: PBE
Structure: relaxed

POSCAR file:
```
K2LaP2S7
1.0
-4.439 -3.877 3.647
2.418 -7.448 -4.976
16.396 -9.711 9.633
P K S La
8 8 28 4
direct
0.989 0.460 0.956
0.517 0.928 0.169
0.489 0.540 0.544
0.511 0.460 0.456
0.983 0.928 0.669
0.483 0.072 0.831
0.011 0.540 0.044
0.017 0.072 0.331
0.512 0.752 0.010
0.012 0.248 0.490
0.030 0.660 0.190
0.530 0.340 0.310
0.470 0.660 0.690
0.970 0.340 0.810
0.988 0.752 0.510
0.488 0.248 0.990
0.966 0.232 0.994
0.253 0.066 0.892
0.777 0.022 0.390
0.223 0.978 0.610
0.988 0.284 0.261
0.466 0.768 0.506
0.074 0.917 0.282
0.277 0.978 0.110
0.747 0.934 0.108
0.574 0.083 0.218
0.426 0.917 0.782
0.756 0.569 0.904
0.723 0.022 0.890
0.012 0.716 0.739
0.926 0.083 0.718
0.247 0.066 0.392
0.732 0.460 0.599
0.034 0.768 0.006
0.488 0.716 0.239
0.256 0.431 0.596
0.753 0.934 0.608
0.534 0.232 0.494
0.768 0.460 0.099
0.744 0.569 0.404
0.268 0.540 0.401
0.232 0.540 0.901
0.512 0.284 0.761
0.244 0.431 0.096
0.973 0.161 0.150
0.473 0.839 0.350
0.527 0.161 0.650
0.027 0.839 0.850
```

Summary:
Energy of formation from the pure elements: -1.359 eV/atom
Uncorrected energy: -238.9 eV per cell
Magnetization: 0.00 μB/f.u.

Compound: KLaP2S6
Source: the Materials Project
Functional: PBE
Structure: relaxed

POSCAR file:
```
KLaP2S6
1.0
-2.774 6.488 -2.985
-4.511 2.762 10.197
8.090 6.431 6.461
S La P K
24 4 8 4
direct
0.195 0.638 0.325
0.214 0.145 0.773
0.182 0.931 0.589
0.483 0.816 0.445
0.517 0.184 0.555
0.796 0.592 0.868
0.704 0.092 0.868
0.983 0.684 0.555
0.474 0.633 0.117
0.286 0.645 0.773
0.204 0.408 0.132
0.017 0.316 0.445
0.296 0.908 0.132
0.818 0.069 0.411
0.805 0.362 0.675
0.026 0.133 0.117
0.786 0.855 0.227
0.974 0.867 0.883
0.695 0.862 0.675
0.682 0.569 0.411
0.318 0.431 0.589
0.526 0.367 0.883
0.714 0.355 0.227
0.305 0.138 0.325
0.607 0.597 0.648
0.107 0.903 0.352
0.393 0.403 0.352
0.893 0.097 0.648
0.618 0.267 0.789
0.882 0.767 0.789
0.100 0.754 0.671
0.900 0.246 0.329
0.118 0.233 0.211
0.600 0.746 0.329
0.400 0.254 0.671
0.382 0.733 0.211
0.406 0.875 0.869
0.094 0.375 0.869
0.906 0.625 0.131
0.594 0.125 0.131
```

Summary:
Energy of formation from the pure elements: -1.319 eV/atom
Uncorrected energy: -207.5 eV per cell
Magnetization: 0.00 μB/f.u.

Compound: K8LaP4S16
Source: the Materials Project
Functional: PBE
Structure: relaxed

POSCAR file:
```
K8LaP4S16
1.0
-4.476 4.923 9.189
4.476 -4.923 9.189
4.476 4.923 -9.189
S K La P
16 8 1 4
direct
0.159 0.912 0.284
0.372 0.088 0.247
0.502 0.219 0.871
0.170 0.390 0.392
0.508 0.011 0.992
0.348 0.631 0.129
0.981 0.989 0.497
0.652 0.781 0.283
0.998 0.778 0.608
0.492 0.484 0.503
0.830 0.222 0.220
0.002 0.610 0.780
0.628 0.875 0.716
0.019 0.516 0.008
0.498 0.369 0.717
0.841 0.125 0.753
0.766 0.766 0.000
0.255 0.755 0.500
0.234 0.234 0.000
0.322 0.712 0.874
0.838 0.448 0.126
0.745 0.245 0.500
0.162 0.288 0.610
0.678 0.552 0.390
0.500 0.000 0.500
0.128 0.667 0.048
0.381 0.333 0.461
0.619 0.080 0.952
0.872 0.920 0.539
```

Summary:
Energy of formation from the pure elements: -1.233 eV/atom
Uncorrected energy: -129.4 eV per cell
Magnetization: 1.00 μB/f.u.

Compound: K8LaP4Se16
Source: the Materials Project
Functional: PBE
Structure: relaxed

POSCAR file:
```
K8LaP4Se16
1.0
10.803 -4.166 -2.453
7.771 8.738 1.826
-8.402 -5.013 6.660
K Se P La
8 16 4 1
direct
0.235 0.735 0.500
0.328 0.961 0.125
0.836 0.203 0.875
0.257 0.257 0.000
0.164 0.039 0.367
0.743 0.743 0.000
0.672 0.797 0.633
0.765 0.265 0.500
0.497 0.276 0.630
0.510 0.002 0.993
0.000 0.887 0.729
0.158 0.271 0.271
0.009 0.517 0.007
0.991 0.998 0.507
0.373 0.635 0.796
0.627 0.423 0.262
0.842 0.113 0.112
0.000 0.729 0.888
0.503 0.132 0.778
0.160 0.365 0.738
0.840 0.577 0.204
0.354 0.724 0.222
0.490 0.483 0.493
0.646 0.868 0.370
0.125 0.579 0.958
0.875 0.832 0.454
0.378 0.421 0.546
0.622 0.168 0.042
0.500 0.500 0.000
```

Summary:
Energy of formation from the pure elements: -1.076 eV/atom
Uncorrected energy: -115.1 eV per cell
Magnetization: 1.00 μB/f.u.

Compound: K2LaP2Se7
Source: the Materials Project
Functional: PBE
Structure: relaxed

POSCAR file:
```
K2LaP2Se7
1.0
-6.342 -1.582 3.346
4.264 -7.254 4.652
8.260 7.662 19.278
P La Se K
8 4 28 8
direct
0.011 0.962 0.457
0.989 0.038 0.543
0.984 0.574 0.830
0.489 0.962 0.957
0.511 0.038 0.043
0.016 0.426 0.170
0.484 0.426 0.670
0.516 0.574 0.330
0.971 0.345 0.350
0.029 0.655 0.650
0.471 0.655 0.150
0.529 0.345 0.850
0.088 0.587 0.220
0.253 0.421 0.108
0.777 0.487 0.105
0.033 0.791 0.756
0.588 0.413 0.280
0.736 0.043 0.900
0.223 0.513 0.895
0.956 0.278 0.503
0.723 0.487 0.605
0.912 0.413 0.780
0.753 0.579 0.392
0.264 0.957 0.100
0.249 0.077 0.403
0.247 0.421 0.608
0.533 0.209 0.744
0.749 0.923 0.097
0.277 0.513 0.395
0.467 0.791 0.256
0.044 0.722 0.497
0.251 0.077 0.903
0.967 0.209 0.244
0.751 0.923 0.597
0.747 0.579 0.892
0.236 0.957 0.600
0.412 0.587 0.720
0.764 0.043 0.400
0.544 0.278 0.003
0.456 0.722 0.997
0.490 0.247 0.509
0.510 0.753 0.491
0.049 0.842 0.317
0.990 0.753 0.991
0.010 0.247 0.009
0.951 0.158 0.683
0.549 0.158 0.183
0.451 0.842 0.817
```

Summary:
Energy of formation from the pure elements: -1.178 eV/atom
Uncorrected energy: -213.2 eV per cell
Magnetization: 0.00 μB/f.u.

Compound: KLaSiS4
Source: the Materials Project
Functional: PBE
Structure: relaxed

POSCAR file:
```
KLaSiS4
1.0
-0.960 0.059 6.573
5.710 -3.286 0.864
6.350 6.105 0.873
S La K Si
8 2 2 2
direct
0.999 0.006 0.722
0.499 0.994 0.278
0.001 0.994 0.278
0.750 0.589 0.167
0.750 0.606 0.561
0.250 0.394 0.439
0.250 0.411 0.833
0.501 0.006 0.722
0.250 0.766 0.552
0.750 0.234 0.448
0.250 0.727 0.066
0.750 0.273 0.934
0.750 0.785 0.317
0.250 0.215 0.683
```

Summary:
Energy of formation from the pure elements: -1.765 eV/atom
Excess energy over the best structure of this formula in the dataset: 2.4 meV per atom
Uncorrected energy: -76.7 eV per cell
Magnetization: 0.00 μB/f.u.

Compound: KLaSiS4
Source: the Materials Project
Functional: PBE
Structure: relaxed

POSCAR file:
```
KLaSiS4
1.0
6.733 0.000 0.000
0.000 6.643 0.000
0.000 2.616 8.393
K S Si La
2 8 2 2
direct
0.475 0.771 0.434
0.975 0.229 0.566
0.728 0.489 0.230
0.461 0.094 0.664
0.723 0.476 0.785
0.426 0.102 0.060
0.961 0.906 0.336
0.228 0.511 0.770
0.223 0.524 0.215
0.926 0.898 0.940
0.462 0.286 0.816
0.962 0.714 0.184
0.491 0.733 0.947
0.991 0.267 0.053
```

Summary:
Energy of formation from the pure elements: -1.767 eV/atom
Excess energy over the best structure of this formula in the dataset: 0.0 meV per atom
Uncorrected energy: -76.8 eV per cell
Maximum piezoelectric response: 0.7 C/m2

Compound: KLi3
Source: the Materials Project
Functional: PBE
Structure: relaxed

POSCAR file:
```
KLi3
1.0
3.638 1.472 4.116
-1.857 0.657 5.335
1.447 -3.775 3.999
Li K
3 1
direct
0.750 0.750 0.750
0.250 0.250 0.250
0.500 0.500 0.500
0.000 0.000 0.000
```

Summary:
Energy of formation from the pure elements: 0.184 eV/atom
Uncorrected energy: -6.1 eV per cell
Magnetization: 0.01 μB/f.u.

Compound: KLi3
Source: the Materials Project
Functional: PBE
Structure: relaxed

POSCAR file:
```
KLi3
1.0
-4.696 -3.683 2.025
-0.913 0.316 6.228
0.566 4.285 -4.587
K Li
1 3
direct
0.000 0.000 0.000
0.750 0.250 0.500
0.250 0.750 0.500
0.500 0.500 0.000
```

Summary:
Energy of formation from the pure elements: 0.178 eV/atom
Uncorrected energy: -6.1 eV per cell
Magnetization: 0.00 μB/f.u.